Density functional theory data (PBE) for a geometry-optimized HfNbB4 structure.

Values from the calculation:
* ΔE_f: -863 meV per atom
* uncorrected energy: -8.6589 eV per atom
* V: 9.64 Å³/atom

CIF file:
```
data_HfNbB4
_symmetry_space_group_name_H-M 'I m m m'
_symmetry_Int_Tables_number 71
_symmetry_space_group_name_Hall '-I 2 2'
_cell_length_a 3.1328
_cell_length_b 5.4153
_cell_length_c 6.8192
_cell_angle_alpha 90.00
_cell_angle_beta 90.00
_cell_angle_gamma 90.00
loop_
_atom_site_label
_atom_site_type_symbol
_atom_site_fract_x
_atom_site_fract_y
_atom_site_fract_z
Hf1 Hf 0.0000 0.0000 0.0000
Nb1 Nb 0.0000 0.0000 0.5000
B1 B 0.0000 0.3338 0.2499
```